No. 1
VASP calculation (GGA+U) on crystalline Li3CuNi3O8 at its relaxed geometry.

abc: 5.7204 5.7670 5.8380
angles: 91.96 118.70 118.40
Last column: nearest neighbours and their distance in Å.
Atoms (fractional coordinates):
1 Li 0.0000 0.0000 0.0000  6 O 2.06-2.25
2 Li 0.0000 0.5000 0.0000  6 O 2.06-2.25
3 Li 0.5000 0.0000 0.0000  6 O 2.07-2.25
4 Cu 0.5000 0.0000 0.5000  6 O 1.89-2.05
5 Ni 0.0000 0.0000 0.5000  6 O 1.91-2.13
6 Ni 0.0000 0.5000 0.5000  6 O 1.91-2.12
7 Ni 0.5000 0.5000 0.5000  6 O 1.91-2.13
8 O 0.0086 0.7489 0.2876  2 Ni 1.91-1.93, 1 Cu 2.05
9 O 0.0399 0.2884 0.2796  3 Ni 1.91-2.13, 1 Li 2.06
10 O 0.4592 0.2094 0.7173  1 Cu 1.89, 1 Ni 1.91, 1 Li 2.07
11 O 0.4922 0.2349 0.2832  1 Cu 1.89, 1 Ni 1.92, 1 Li 2.06
12 O 0.5078 0.7651 0.7168  1 Cu 1.89, 1 Ni 1.92, 1 Li 2.06
13 O 0.5408 0.7906 0.2827  1 Cu 1.89, 1 Ni 1.91, 1 Li 2.07
14 O 0.9601 0.7116 0.7204  3 Ni 1.91-2.13, 1 Li 2.06
15 O 0.9914 0.2511 0.7124  2 Ni 1.91-1.93, 1 Cu 2.05

Values from the calculation:
The calculation puts the energy relative to the elements at -1.321 eV per atom. The total energy comes out at -4.8962 eV per atom. For the energy relative to the lowest polymorph listed for this composition, the calculation gives 0.000 eV per atom.

---

No. 2
VASP calculation (GGA+U) on crystalline Li7Mn11O24 at its relaxed geometry.

abc: 5.8622 5.8622 43.2130
angles: 91.09 91.09 60.79
Last column: nearest neighbours and their distance in Å.
Atoms (fractional coordinates):
1 Li 0.0000 0.0000 0.0000  6 O 2.08-2.12
2 Li 0.0009 0.0009 0.4578  4 O 1.92-1.98
3 Li 0.0066 0.0066 0.7930  4 O 1.95-2.01
4 Li 0.0088 0.0088 0.1264  4 O 1.94-2.03
5 Li 0.3292 0.3292 0.6817  4 O 1.97-2.00
6 Li 0.3304 0.3304 0.0987  4 O 1.96-2.06
7 Li 0.3304 0.3304 0.3479  4 O 1.93-2.02
8 Li 0.3314 0.3314 0.7660  4 O 1.93-2.03
9 Li 0.3328 0.3328 0.0166  4 O 1.96-2.12
10 Li 0.3340 0.3340 0.4310  4 O 1.95-2.02
11 Li 0.4994 0.4994 0.8336  6 O 2.03-2.15
12 Li 0.5006 0.5006 0.1664  6 O 2.03-2.15
13 Li 0.6660 0.6660 0.5690  4 O 1.95-2.02
14 Li 0.6672 0.6672 0.9834  4 O 1.96-2.12
15 Li 0.6686 0.6686 0.2340  4 O 1.93-2.03
16 Li 0.6696 0.6696 0.6521  4 O 1.93-2.02
17 Li 0.6696 0.6696 0.9013  4 O 1.96-2.06
18 Li 0.6708 0.6708 0.3183  4 O 1.97-2.00
19 Li 0.9912 0.9912 0.8736  4 O 1.94-2.03
20 Li 0.9934 0.9934 0.2070  4 O 1.95-2.01
21 Li 0.9991 0.9991 0.5422  4 O 1.92-1.98
22 Mn 0.0000 0.5000 0.5000  6 O 1.93-2.03
23 Mn 0.0010 0.5011 0.8335  6 O 1.91-1.99
24 Mn 0.0038 0.0038 0.3328  6 O 1.90-2.12
25 Mn 0.1644 0.6709 0.9444  6 O 1.89-2.00
26 Mn 0.1655 0.1655 0.9445  6 O 1.91-1.97
27 Mn 0.1669 0.1669 0.6110  6 O 1.90-1.97
28 Mn 0.1685 0.1685 0.2767  6 O 1.93-1.96
29 Mn 0.1701 0.6684 0.6110  6 O 1.93-2.06
30 Mn 0.1711 0.6670 0.2767  6 O 1.93-2.02
31 Mn 0.3291 0.8356 0.0556  6 O 1.89-2.00
32 Mn 0.3313 0.3313 0.5555  6 O 1.91-1.96
33 Mn 0.3316 0.8299 0.3890  6 O 1.93-2.06
34 Mn 0.3333 0.3333 0.8880  6 O 1.88-2.00
35 Mn 0.3330 0.8289 0.7233  6 O 1.93-2.02
36 Mn 0.3338 0.3338 0.2200  6 O 1.82-2.03
37 Mn 0.4989 0.9990 0.1665  6 O 1.91-1.99
38 Mn 0.5000 0.0000 0.5000  6 O 1.93-2.03
39 Mn 0.5000 0.5000 0.5000  6 O 1.91-2.11
40 Mn 0.5011 0.0010 0.8335  6 O 1.91-1.99
41 Mn 0.6662 0.6662 0.7800  6 O 1.82-2.03
42 Mn 0.6670 0.1711 0.2767  6 O 1.93-2.02
43 Mn 0.6667 0.6667 0.1120  6 O 1.88-2.00
44 Mn 0.6684 0.1701 0.6110  6 O 1.93-2.06
45 Mn 0.6687 0.6687 0.4445  6 O 1.91-1.96
46 Mn 0.6709 0.1644 0.9444  6 O 1.89-2.00
47 Mn 0.8289 0.3330 0.7233  6 O 1.93-2.02
48 Mn 0.8299 0.3316 0.3890  6 O 1.93-2.06
49 Mn 0.8315 0.8315 0.7233  6 O 1.93-1.96
50 Mn 0.8331 0.8331 0.3890  6 O 1.90-1.97
51 Mn 0.8345 0.8345 0.0555  6 O 1.91-1.97
52 Mn 0.8356 0.3291 0.0556  6 O 1.89-2.00
53 Mn 0.9962 0.9962 0.6672  6 O 1.90-2.12
54 Mn 0.9990 0.4989 0.1665  6 O 1.91-1.99
55 O 0.0013 0.0013 0.0794  3 Mn 1.96-1.98, 1 Li 2.03
56 O 0.0037 0.0037 0.2532  3 Mn 1.93-2.01, 1 Li 1.99
57 O 0.0077 0.0077 0.5868  3 Mn 1.90-2.04, 1 Li 1.92
58 O 0.0392 0.4758 0.9180  3 Mn 1.97-2.00, 1 Li 2.02
59 O 0.0390 0.4765 0.2511  3 Mn 1.94-2.03, 1 Li 2.03
60 O 0.0396 0.4769 0.5847  3 Mn 1.96-1.97, 1 Li 2.02
61 O 0.1443 0.1443 0.6971  3 Mn 1.96-1.99, 1 Li 2.00
62 O 0.1458 0.6930 0.3646  3 Mn 1.93-2.12, 1 Li 1.98
63 O 0.1493 0.1493 0.3614  3 Mn 1.90-2.04, 1 Li 1.93
64 O 0.1504 0.6883 0.6989  3 Mn 1.93-2.10, 1 Li 1.97
65 O 0.1499 0.6933 0.0326  2 Mn 1.89-1.91, 1 Li 1.96
66 O 0.1523 0.1523 0.0331  2 Mn 1.90, 2 Li 1.97-2.08
67 O 0.1703 0.6230 0.1960  2 Mn 1.82-1.95, 1 Li 1.95
68 O 0.1701 0.6278 0.5286  3 Mn 1.92-2.11, 1 Li 1.98
69 O 0.1709 0.6243 0.8621  2 Mn 1.88-1.91, 1 Li 1.94
70 O 0.1804 0.1804 0.1921  3 Mn 1.94-1.98, 1 Li 2.01
71 O 0.1805 0.1805 0.5272  3 Mn 1.93-2.03, 1 Li 1.96
72 O 0.1809 0.1809 0.8589  3 Mn 1.97-1.99, 1 Li 2.03
73 O 0.3067 0.8501 0.9674  2 Mn 1.89-1.91, 1 Li 1.96
74 O 0.3070 0.8542 0.6354  3 Mn 1.93-2.12, 1 Li 1.98
75 O 0.3117 0.8496 0.3011  3 Mn 1.93-2.10, 1 Li 1.97
76 O 0.3224 0.3224 0.1441  2 Mn 1.93, 2 Li 1.96-2.03
77 O 0.3220 0.3220 0.8107  2 Mn 1.93, 2 Li 1.93-2.03
78 O 0.3272 0.3272 0.6356  3 Mn 1.92-2.06, 1 Li 1.99
79 O 0.3321 0.3321 0.3011  3 Mn 1.94-2.02, 1 Li 2.02
80 O 0.3358 0.3358 0.9677  3 Mn 1.97-2.00, 1 Li 2.12
81 O 0.3383 0.3383 0.4764  3 Mn 1.91-2.02, 1 Li 1.96
82 O 0.3722 0.8299 0.4714  3 Mn 1.92-2.11, 1 Li 1.98
83 O 0.3757 0.8291 0.1379  2 Mn 1.88-1.91, 1 Li 1.94
84 O 0.3770 0.8297 0.8040  2 Mn 1.82-1.95, 1 Li 1.95
85 O 0.4758 0.0392 0.9180  3 Mn 1.97-2.00, 1 Li 2.02
86 O 0.4765 0.0390 0.2511  3 Mn 1.94-2.03, 1 Li 2.03
87 O 0.4769 0.0396 0.5847  3 Mn 1.96-1.97, 1 Li 2.02
88 O 0.4802 0.4802 0.9179  3 Mn 1.95-2.00, 1 Li 2.06
89 O 0.4816 0.4816 0.2504  3 Mn 1.97, 1 Li 2.03
90 O 0.4829 0.4829 0.5826  3 Mn 1.91-2.04, 1 Li 1.95
91 O 0.5171 0.5171 0.4174  3 Mn 1.91-2.04, 1 Li 1.95
92 O 0.5184 0.5184 0.7496  3 Mn 1.97, 1 Li 2.03
93 O 0.5198 0.5198 0.0821  3 Mn 1.95-2.00, 1 Li 2.06
94 O 0.5231 0.9604 0.4153  3 Mn 1.96-1.97, 1 Li 2.02
95 O 0.5235 0.9610 0.7489  3 Mn 1.94-2.03, 1 Li 2.03
96 O 0.5242 0.9608 0.0820  3 Mn 1.97-2.00, 1 Li 2.02
97 O 0.6230 0.1703 0.1960  2 Mn 1.82-1.95, 1 Li 1.95
98 O 0.6243 0.1709 0.8621  2 Mn 1.88-1.91, 1 Li 1.94
99 O 0.6278 0.1701 0.5286  3 Mn 1.92-2.11, 1 Li 1.98
100 O 0.6617 0.6617 0.5236  3 Mn 1.91-2.02, 1 Li 1.96
101 O 0.6642 0.6642 0.0323  3 Mn 1.97-2.00, 1 Li 2.12
102 O 0.6679 0.6679 0.6989  3 Mn 1.94-2.02, 1 Li 2.02
103 O 0.6728 0.6728 0.3644  3 Mn 1.92-2.06, 1 Li 1.99
104 O 0.6780 0.6780 0.1893  2 Mn 1.93, 2 Li 1.93-2.03
105 O 0.6776 0.6776 0.8559  2 Mn 1.93, 2 Li 1.96-2.03
106 O 0.6883 0.1504 0.6989  3 Mn 1.93-2.10, 1 Li 1.97
107 O 0.6930 0.1458 0.3646  3 Mn 1.93-2.12, 1 Li 1.98
108 O 0.6933 0.1499 0.0326  2 Mn 1.89-1.91, 1 Li 1.96
109 O 0.8191 0.8191 0.1411  3 Mn 1.97-1.99, 1 Li 2.03
110 O 0.8195 0.8195 0.4728  3 Mn 1.93-2.03, 1 Li 1.96
111 O 0.8196 0.8196 0.8079  3 Mn 1.94-1.98, 1 Li 2.01
112 O 0.8291 0.3757 0.1379  2 Mn 1.88-1.91, 1 Li 1.94
113 O 0.8299 0.3722 0.4714  3 Mn 1.92-2.11, 1 Li 1.98
114 O 0.8297 0.3770 0.8040  2 Mn 1.82-1.95, 1 Li 1.95
115 O 0.8477 0.8477 0.9669  2 Mn 1.90, 2 Li 1.97-2.08
116 O 0.8501 0.3067 0.9674  2 Mn 1.89-1.91, 1 Li 1.96
117 O 0.8496 0.3117 0.3011  3 Mn 1.93-2.10, 1 Li 1.97
118 O 0.8507 0.8507 0.6386  3 Mn 1.90-2.04, 1 Li 1.93
119 O 0.8542 0.3070 0.6354  3 Mn 1.93-2.12, 1 Li 1.98
120 O 0.8557 0.8557 0.3029  3 Mn 1.96-1.99, 1 Li 2.00
121 O 0.9604 0.5231 0.4153  3 Mn 1.96-1.97, 1 Li 2.02
122 O 0.9610 0.5235 0.7489  3 Mn 1.94-2.03, 1 Li 2.03
123 O 0.9608 0.5242 0.0820  3 Mn 1.97-2.00, 1 Li 2.02
124 O 0.9923 0.9923 0.4132  3 Mn 1.90-2.04, 1 Li 1.92
125 O 0.9963 0.9963 0.7468  3 Mn 1.93-2.01, 1 Li 1.99
126 O 0.9987 0.9987 0.9206  3 Mn 1.96-1.98, 1 Li 2.03

Values from the calculation:
The calculation puts the energy relative to the elements at -2.014 eV per atom. The total energy comes out at -6.7297 eV per atom. For the energy relative to the lowest polymorph listed for this composition, the calculation gives 0.013 eV per atom.

---

No. 3
VASP calculation (GGA+U) on crystalline Li5Fe8B8O24 at its relaxed geometry.

abc: 5.2297 9.1232 11.3866
angles: 67.28 77.36 89.94
Last column: nearest neighbours and their distance in Å.
Atoms (fractional coordinates):
1 Li 0.0000 0.0000 0.0000  4 O 1.91-2.09
2 Li 0.0526 0.0303 0.2481  4 O 1.93-2.08
3 Li 0.2381 0.2617 0.5062  4 O 1.97-2.12
4 Li 0.5472 0.5304 0.2540  4 O 1.90-2.09
5 Li 0.7650 0.7803 0.7543  4 O 1.96-2.14
6 Fe 0.0204 0.6764 0.9707  5 O 1.92-2.08
7 Fe 0.0702 0.3801 0.2115  4 O 1.97-2.13
8 Fe 0.2703 0.6085 0.4708  4 O 2.02-2.13
9 Fe 0.2875 0.9764 0.7251  3 O 1.94-2.09
10 Fe 0.4977 0.1936 0.9655  3 O 1.98-2.09
11 Fe 0.5606 0.8830 0.2215  5 O 2.01-2.22
12 Fe 0.7561 0.0978 0.4683  4 O 1.89-2.09
13 Fe 0.7934 0.4625 0.7164  5 O 1.97-2.02
14 B 0.0626 0.7226 0.2109  3 O 1.38-1.42
15 B 0.2705 0.9423 0.4605  3 O 1.37-1.41
16 B 0.2939 0.6372 0.7224  3 O 1.37-1.42
17 B 0.5237 0.8548 0.9667  3 O 1.37-1.42
18 B 0.5525 0.2181 0.2228  3 O 1.36-1.42
19 B 0.7598 0.4218 0.4723  3 O 1.37-1.43
20 B 0.8019 0.1409 0.7121  3 O 1.36-1.43
21 B 0.9993 0.3464 0.9628  3 O 1.36-1.41
22 O 0.0142 0.9583 0.4486  1 B 1.38
23 O 0.0665 0.1519 0.7009  1 B 1.36
24 O 0.0847 0.4567 0.0079  1 B 1.41
25 O 0.1153 0.2088 0.9807  1 B 1.36
26 O 0.1470 0.7421 0.7694  1 B 1.42
27 O 0.1628 0.5474 0.6770  1 B 1.38
28 O 0.2688 0.8604 0.9421  1 B 1.42
29 O 0.2925 0.6899 0.2534  1 B 1.38
30 O 0.3825 0.0438 0.5067  1 B 1.41
31 O 0.4139 0.8337 0.4264  1 B 1.37
32 O 0.4388 0.3520 0.2244  1 B 1.36
33 O 0.4418 0.1134 0.1817  1 B 1.39
34 O 0.5130 0.4392 0.4492  1 B 1.37
35 O 0.5565 0.6288 0.7206  1 B 1.37
36 O 0.6164 0.9637 0.0064  1 B 1.37
37 O 0.6444 0.2441 0.7514  1 B 1.39
38 O 0.6800 0.7411 0.9445  1 B 1.39
39 O 0.6918 0.0257 0.6757  1 B 1.43
40 O 0.7824 0.3786 0.9079  1 B 1.39
41 O 0.7885 0.1840 0.2665  1 B 1.42
42 O 0.8785 0.5117 0.5221  1 B 1.38
43 O 0.9108 0.3077 0.4377  1 B 1.43
44 O 0.9451 0.6132 0.1721  1 B 1.42
45 O 0.9481 0.8616 0.2005  1 B 1.38

Values from the calculation:
The calculation puts the energy relative to the elements at -2.285 eV per atom. The total energy comes out at -7.0619 eV per atom. For the energy relative to the lowest polymorph listed for this composition, the calculation gives 0.006 eV per atom.

---

No. 4
VASP calculation (GGA+U) on crystalline CrCl2O2 at its relaxed geometry.

abc: 6.9838 5.4131 7.7375
angles: 90.00 106.03 90.00
Last column: nearest neighbours and their distance in Å.
Atoms (fractional coordinates):
1 Cr 0.1637 0.0000 0.2751  2 O 1.59
2 Cr 0.8363 0.5000 0.7249  2 O 1.59
3 Cl 0.2775 0.1118 0.5475  1 Cr 2.13
4 Cl 0.3449 0.1206 0.1119  1 Cr 2.12
5 Cl 0.6551 0.6206 0.8881  1 Cr 2.12
6 Cl 0.7225 0.6118 0.4525  1 Cr 2.13
7 O 0.0539 0.6112 0.8014  1 Cr 1.59
8 O 0.1533 0.7067 0.2681  1 Cr 1.59
9 O 0.8467 0.2067 0.7319  1 Cr 1.59
10 O 0.9461 0.1112 0.1986  1 Cr 1.59

Values from the calculation:
The calculation puts the energy relative to the elements at -1.009 eV per atom. The total energy comes out at -4.9831 eV per atom.

---

No. 5
VASP calculation (GGA+U) on crystalline KMg6WO8 at its relaxed geometry.

abc: 4.4817 4.4817 8.8138
angles: 90.00 90.00 90.00
Last column: nearest neighbours and their distance in Å.
Atoms (fractional coordinates):
1 K 0.0000 0.0000 0.0000  6 O 2.24-2.44
2 Mg 0.0000 0.0000 0.5000  2 O 1.97
3 Mg 0.0000 0.5000 0.2610  6 O 2.11-2.30
4 Mg 0.0000 0.5000 0.7390  6 O 2.11-2.30
5 Mg 0.5000 0.0000 0.2610  6 O 2.11-2.30
6 Mg 0.5000 0.0000 0.7390  6 O 2.11-2.30
7 Mg 0.5000 0.5000 0.5000  6 O 2.18-2.24
8 W 0.5000 0.5000 0.0000  6 O 2.23-2.24
9 O 0.0000 0.0000 0.2770  1 Mg 1.97
10 O 0.0000 0.0000 0.7230  1 Mg 1.97
11 O 0.0000 0.5000 0.0000  2 W 2.24, 2 K 2.24, 2 Mg 2.30
12 O 0.0000 0.5000 0.5000  6 Mg 2.11-2.24
13 O 0.5000 0.0000 0.0000  2 W 2.24, 2 K 2.24, 2 Mg 2.30
14 O 0.5000 0.0000 0.5000  6 Mg 2.11-2.24
15 O 0.5000 0.5000 0.2527  5 Mg 2.18-2.24, 1 W 2.23
16 O 0.5000 0.5000 0.7473  5 Mg 2.18-2.24, 1 W 2.23

Values from the calculation:
The calculation puts the energy relative to the elements at -2.432 eV per atom. The total energy comes out at -5.7649 eV per atom. For the energy relative to the lowest polymorph listed for this composition, the calculation gives 0.000 eV per atom.

---

No. 6
VASP calculation (GGA+U) on crystalline MgV2In2O8 at its relaxed geometry.

abc: 5.5394 5.5394 7.3565
angles: 91.25 91.25 66.41
Last column: nearest neighbours and their distance in Å.
Atoms (fractional coordinates):
1 Mg 0.0000 0.0000 0.0000  2 O 2.01
2 V 0.1454 0.1454 0.7001  4 O 1.70-1.78
3 V 0.8546 0.8546 0.2999  4 O 1.70-1.78
4 In 0.5000 0.5000 0.0000  6 O 2.71-2.76, 2 Mg 3.03
5 In 0.5000 0.5000 0.5000  6 O 2.12-2.24
6 O 0.2046 0.7399 0.2923  1 V 1.78
7 O 0.2069 0.2069 0.9262  1 V 1.74
8 O 0.2601 0.7954 0.7077  1 V 1.78
9 O 0.2744 0.2744 0.5396  1 V 1.70
10 O 0.7256 0.7256 0.4604  1 V 1.70
11 O 0.7399 0.2046 0.2923  1 V 1.78
12 O 0.7931 0.7931 0.0738  1 V 1.74
13 O 0.7954 0.2601 0.7077  1 V 1.78

Values from the calculation:
The calculation puts the energy relative to the elements at -2.053 eV per atom. The total energy comes out at -6.3579 eV per atom. For the energy relative to the lowest polymorph listed for this composition, the calculation gives 0.241 eV per atom.

---

Number 1: total magnetization 0.00 μB per formula unit. Number 2: total magnetization 5.64 μB per formula unit. Number 3: total magnetization 35.00 μB per formula unit. Number 4: total magnetization 0.00 μB per formula unit. Number 5: total magnetization 3.00 μB per formula unit. Number 6: total magnetization 0.00 μB per formula unit.